First-principles (GGA-PBE) data for crystalline Ta3C2 at its relaxed geometry, as listed in the Materials Project.

## Properties
The space-group type is P-3m1, No. 164.

The structure in POSCAR format:
```
Ta3C2
1.0
1.569 -2.717 0.000
1.569 2.717 0.000
0.000 0.000 30.327
C Ta
8 12
Direct
0.333 0.667 0.084
0.333 0.667 0.247
0.000 0.000 0.420
0.000 0.000 0.580
0.667 0.333 0.753
0.667 0.333 0.916
0.333 0.667 0.667
0.667 0.333 0.333
0.667 0.333 0.459
0.000 0.000 0.711
0.000 0.000 0.289
0.333 0.667 0.793
0.333 0.667 0.958
0.000 0.000 0.876
0.667 0.333 0.042
0.000 0.000 0.124
0.333 0.667 0.377
0.333 0.667 0.541
0.667 0.333 0.623
0.667 0.333 0.207
```



First-principles (GGA-PBE) data for crystalline Ta4C3 at its relaxed geometry, as listed in the Materials Project.

## Properties
The value obtained for the excess energy over the best structure of this formula in the dataset is 0.000 eV/atom. The space-group type is R3m, No. 160.

The structure in POSCAR format:
```
Ta4C3
1.0
-2.351 -6.049 -8.143
-2.892 -8.115 -5.848
-5.134 -6.097 -6.701
Ta C
4 3
Direct
0.375 0.375 0.375
0.627 0.627 0.627
0.206 0.206 0.206
0.790 0.790 0.790
0.497 0.497 0.497
0.004 0.004 0.004
0.915 0.915 0.915
```



First-principles (GGA-PBE) data for crystalline Ta4C3 at its relaxed geometry, as listed in the Materials Project.

## Properties
The value obtained for the excess energy over the best structure of this formula in the dataset is 0.101 eV/atom. The magnetization comes out at 0.00 μB per atom. The space-group type is Pm-3m, No. 221.

The structure in POSCAR format:
```
Ta4C3
1.0
-1.723 -2.334 -3.368
1.529 -3.756 1.820
-3.802 -0.453 2.259
Ta C
4 3
Direct
0.000 0.000 0.000
0.500 0.500 0.000
0.500 0.000 0.500
0.000 0.500 0.500
0.500 0.000 0.000
0.000 0.500 0.000
0.000 0.000 0.500
```



First-principles (GGA-PBE) data for crystalline TaVC2 at its relaxed geometry, as listed in the Materials Project.

## Properties
The magnetization comes out at 0.00 μB per atom. The space-group type is R-3m, No. 166.

The structure in POSCAR format:
```
TaVC2
1.0
-2.590 3.028 3.464
-3.059 0.101 4.301
-0.422 1.511 5.041
C Ta V
2 1 1
Direct
0.746 0.746 0.746
0.254 0.254 0.254
0.500 0.500 0.500
0.000 0.000 0.000
```



The ΔH_f (0 K) results, record by record, are as follows: -0.5863 -0.5516 -0.4509 -0.4616 eV/atom.